Entry from the Materials Project database: a relaxed Cs2NaAuBr6 crystal (PBE).

The structure in extended XYZ format:
```
10
Lattice="5.2680 -2.9054 5.1844 4.5270 4.9469 4.2551 -1.2473 0.8056 7.8017" Properties=species:S:1:pos:R:3 pbc="T T T"
Br 4.7938 -0.8405 6.8235
Br 7.1614 1.7467 9.0489
Br 4.1414 -0.4192 10.9037
Br 1.3863 1.1003 8.1923
Br 4.4062 3.2662 6.3375
Br 3.7539 3.6875 10.4177
Cs 2.1369 0.7118 4.3103
Cs 6.4107 2.1353 12.9309
Na 4.2738 1.4235 8.6206
Au 0.0000 0.0000 0.0000
```

Properties
space group	No. 225
electronic total energy	-2.666	eV/atom
total magnetic moment	0.173	μB/f.u.
energy relative to the elements	-1366	meV/atom

=====

Entry from the Materials Project database: a relaxed CoSi4Ni crystal (PBE).

The structure in extended XYZ format:
```
6
Lattice="-3.1973 -5.7698 -0.3095 -1.8789 -5.4314 3.2526 -5.0654 -3.6101 2.2179" Properties=species:S:1:pos:R:3 pbc="T T T"
Si -6.3556 -9.2819 3.2343
Si -3.7860 -5.5293 1.9267
Si -1.2506 -1.8265 0.6364
Si -8.8910 -12.9848 4.5245
Co 0.0000 0.0000 0.0000
Ni -5.0708 -7.4056 2.5805
```

Properties
space group	No. 166
electronic total energy	-6.209	eV/atom
energy relative to the elements	-444	meV/atom

=====

Entry from the Materials Project database: a relaxed Ti2C crystal (PBE).

The structure in extended XYZ format:
```
3
Lattice="-2.5907 4.4119 -0.4142 -3.3482 2.6608 -2.8387 -4.6615 2.1472 -0.0945" Properties=species:S:1:pos:R:3 pbc="T T T"
Ti -7.9937 6.9527 -2.5242
Ti -2.6067 2.2673 -0.8232
C -5.3002 4.6100 -1.6737
```

Properties
space group	No. 166
electronic total energy	-8.974	eV/atom
energy relative to the elements	-634	meV/atom